# 1
Material: NiH12SO10
Method: DFT, GGA+U
State: relaxed

Results
**SG**: C2/c
**Energy of formation from the pure elements**: -134.4 kJ per mole of atoms

Lattice parameters (Å, degrees): 6.202 6.202 24.603 98.15 98.15 70.81
Sites, in units of the cell vectors:
Ni1 0.000 0.000 0.000
Ni2 0.000 0.000 0.500
Ni3 0.046 0.954 0.750
Ni4 0.954 0.046 0.250
H1 0.000 0.316 0.343
H2 0.000 0.684 0.657
H3 0.029 0.662 0.421
H4 0.062 0.334 0.948
H5 0.063 0.267 0.690
H6 0.064 0.685 0.911
H7 0.076 0.524 0.763
H8 0.094 0.226 0.843
H9 0.197 0.667 0.299
H10 0.226 0.094 0.343
H11 0.243 0.301 0.002
H12 0.267 0.063 0.190
H13 0.272 0.699 0.567
H14 0.287 0.650 0.445
H15 0.292 0.576 0.800
H16 0.301 0.243 0.502
H17 0.301 0.728 0.933
H18 0.315 0.936 0.589
H19 0.316 0.000 0.843
H20 0.333 0.803 0.201
H21 0.334 0.062 0.448
H22 0.338 0.971 0.079
H23 0.350 0.713 0.055
H24 0.424 0.708 0.700
H25 0.476 0.924 0.737
H26 0.524 0.076 0.263
H27 0.576 0.292 0.300
H28 0.650 0.287 0.945
H29 0.662 0.029 0.921
H30 0.666 0.938 0.552
H31 0.667 0.197 0.799
H32 0.684 0.000 0.157
H33 0.685 0.064 0.411
H34 0.699 0.272 0.067
H35 0.699 0.757 0.498
H36 0.708 0.424 0.200
H37 0.713 0.350 0.555
H38 0.728 0.301 0.433
H39 0.733 0.937 0.810
H40 0.757 0.699 0.998
H41 0.774 0.906 0.657
H42 0.803 0.333 0.701
H43 0.906 0.774 0.157
H44 0.924 0.476 0.237
H45 0.936 0.315 0.089
H46 0.937 0.733 0.310
H47 0.938 0.666 0.052
H48 0.971 0.338 0.579
S1 0.322 0.418 0.123
S2 0.418 0.322 0.623
S3 0.582 0.678 0.377
S4 0.678 0.582 0.877
O1 0.037 0.723 0.281
O2 0.067 0.532 0.117
O3 0.101 0.194 0.319
O4 0.128 0.243 0.979
O5 0.130 0.685 0.455
O6 0.131 0.647 0.784
O7 0.132 0.804 0.930
O8 0.173 0.376 0.634
O9 0.194 0.101 0.819
O10 0.196 0.868 0.570
O11 0.243 0.128 0.479
O12 0.277 0.963 0.219
O13 0.315 0.870 0.045
O14 0.353 0.869 0.716
O15 0.376 0.173 0.134
O16 0.413 0.425 0.070
O17 0.425 0.413 0.570
O18 0.429 0.539 0.170
O19 0.461 0.571 0.330
O20 0.468 0.933 0.383
O21 0.532 0.067 0.617
O22 0.539 0.429 0.670
O23 0.571 0.461 0.830
O24 0.575 0.587 0.430
O25 0.587 0.575 0.930
O26 0.624 0.827 0.866
O27 0.647 0.131 0.284
O28 0.685 0.130 0.955
O29 0.723 0.037 0.781
O30 0.757 0.872 0.521
O31 0.804 0.132 0.430
O32 0.806 0.899 0.181
O33 0.827 0.624 0.366
O34 0.868 0.196 0.070
O35 0.869 0.353 0.216
O36 0.870 0.315 0.545
O37 0.872 0.757 0.021
O38 0.899 0.806 0.681
O39 0.933 0.468 0.883
O40 0.963 0.277 0.719

# 2
Material: Cr3P4O16
Method: DFT, GGA+U
State: relaxed

Results
**SG**: C2/c
**Energy of formation from the pure elements**: -225.8 kJ per mole of atoms
**Relative energy among the computed polymorphs**: 0.000 eV per atom

Lattice parameters (Å, degrees): 10.078 10.078 10.762 91.72 91.72 36.84
Sites, in units of the cell vectors:
Cr1 0.000 0.500 0.000
Cr2 0.136 0.172 0.251
Cr3 0.172 0.136 0.751
Cr4 0.500 0.000 0.500
Cr5 0.828 0.864 0.249
Cr6 0.864 0.828 0.749
P1 0.082 0.747 0.008
P2 0.253 0.918 0.492
P3 0.283 0.315 0.255
P4 0.315 0.283 0.755
P5 0.685 0.717 0.245
P6 0.717 0.685 0.745
P7 0.747 0.082 0.508
P8 0.918 0.253 0.992
O1 0.040 0.133 0.117
O2 0.091 0.093 0.886
O3 0.093 0.091 0.386
O4 0.133 0.040 0.617
O5 0.133 0.553 0.279
O6 0.163 0.536 0.006
O7 0.170 0.517 0.728
O8 0.190 0.291 0.145
O9 0.222 0.265 0.862
O10 0.265 0.222 0.362
O11 0.267 0.701 0.032
O12 0.291 0.190 0.645
O13 0.299 0.733 0.468
O14 0.447 0.867 0.221
O15 0.464 0.837 0.494
O16 0.483 0.830 0.772
O17 0.517 0.170 0.228
O18 0.536 0.163 0.506
O19 0.553 0.133 0.779
O20 0.701 0.267 0.532
O21 0.709 0.810 0.355
O22 0.733 0.299 0.968
O23 0.735 0.778 0.638
O24 0.778 0.735 0.138
O25 0.810 0.709 0.855
O26 0.830 0.483 0.272
O27 0.837 0.464 0.994
O28 0.867 0.447 0.721
O29 0.867 0.960 0.383
O30 0.907 0.909 0.614
O31 0.909 0.907 0.114
O32 0.960 0.867 0.883

# 3
Material: LiMn2O3F
Method: DFT, GGA+U
State: relaxed

Results
**SG**: Cm
**Energy of formation from the pure elements**: -218.0 kJ per mole of atoms
**Relative energy among the computed polymorphs**: 0.059 eV per atom

Lattice parameters (Å, degrees): 6.039 6.039 6.014 118.37 118.37 58.19
Sites, in units of the cell vectors:
Li1 0.000 0.000 0.000
Li2 0.650 0.650 0.427
Mn1 0.147 0.658 0.421
Mn2 0.282 0.282 0.818
Mn3 0.646 0.646 0.900
Mn4 0.658 0.147 0.421
O1 0.405 0.405 0.219
O2 0.415 0.871 0.681
O3 0.420 0.420 0.671
O4 0.864 0.864 0.154
O5 0.871 0.415 0.681
O6 0.884 0.884 0.608
F1 0.404 0.869 0.145
F2 0.869 0.404 0.145

# 4
Material: TlMo2P3O12
Method: DFT, GGA+U
State: relaxed

Results
**SG**: Pbcm
**Energy of formation from the pure elements**: -230.3 kJ per mole of atoms

Lattice parameters (Å, degrees): 9.031 9.450 12.511 90.00 90.00 90.00
Sites, in units of the cell vectors:
Tl1 0.169 0.164 0.250
Tl2 0.169 0.336 0.750
Tl3 0.831 0.664 0.250
Tl4 0.831 0.836 0.750
Mo1 0.248 0.530 0.100
Mo2 0.248 0.530 0.400
Mo3 0.248 0.970 0.600
Mo4 0.248 0.970 0.900
Mo5 0.752 0.030 0.100
Mo6 0.752 0.030 0.400
Mo7 0.752 0.470 0.600
Mo8 0.752 0.470 0.900
P1 0.028 0.250 0.000
P2 0.028 0.250 0.500
P3 0.407 0.638 0.630
P4 0.407 0.638 0.870
P5 0.407 0.862 0.130
P6 0.407 0.862 0.370
P7 0.593 0.138 0.630
P8 0.593 0.138 0.870
P9 0.593 0.362 0.130
P10 0.593 0.362 0.370
P11 0.972 0.750 0.000
P12 0.972 0.750 0.500
O1 0.065 0.661 0.079
O2 0.065 0.661 0.421
O3 0.065 0.839 0.579
O4 0.065 0.839 0.921
O5 0.126 0.153 0.570
O6 0.126 0.153 0.930
O7 0.126 0.347 0.070
O8 0.126 0.347 0.430
O9 0.213 0.519 0.250
O10 0.213 0.981 0.750
O11 0.300 0.549 0.562
O12 0.300 0.549 0.938
O13 0.300 0.951 0.062
O14 0.300 0.951 0.438
O15 0.358 0.590 0.750
O16 0.358 0.910 0.250
O17 0.387 0.703 0.122
O18 0.387 0.703 0.378
O19 0.387 0.797 0.622
O20 0.387 0.797 0.878
O21 0.430 0.104 0.616
O22 0.430 0.104 0.884
O23 0.430 0.396 0.116
O24 0.430 0.396 0.384
O25 0.570 0.604 0.616
O26 0.570 0.604 0.884
O27 0.570 0.896 0.116
O28 0.570 0.896 0.384
O29 0.613 0.203 0.122
O30 0.613 0.203 0.378
O31 0.613 0.297 0.622
O32 0.613 0.297 0.878
O33 0.642 0.090 0.750
O34 0.642 0.410 0.250
O35 0.700 0.049 0.562
O36 0.700 0.049 0.938
O37 0.700 0.451 0.062
O38 0.700 0.451 0.438
O39 0.787 0.019 0.250
O40 0.787 0.481 0.750
O41 0.874 0.653 0.570
O42 0.874 0.653 0.930
O43 0.874 0.847 0.070
O44 0.874 0.847 0.430
O45 0.935 0.161 0.079
O46 0.935 0.161 0.421
O47 0.935 0.339 0.579
O48 0.935 0.339 0.921

# 5
Material: Ti3Al2NiO
Method: DFT, GGA+U
State: relaxed

Results
**SG**: Fd-3m
**Energy of formation from the pure elements**: -91.4 kJ per mole of atoms

Lattice parameters (Å, degrees): 8.046 8.046 8.046 60.00 60.00 60.00
Sites, in units of the cell vectors:
Ti1 0.059 0.059 0.691
Ti2 0.059 0.691 0.059
Ti3 0.059 0.691 0.691
Ti4 0.309 0.309 0.941
Ti5 0.309 0.941 0.309
Ti6 0.309 0.941 0.941
Ti7 0.691 0.059 0.059
Ti8 0.691 0.059 0.691
Ti9 0.691 0.691 0.059
Ti10 0.941 0.309 0.309
Ti11 0.941 0.309 0.941
Ti12 0.941 0.941 0.309
Al1 0.292 0.292 0.292
Al2 0.292 0.292 0.624
Al3 0.292 0.624 0.292
Al4 0.376 0.708 0.708
Al5 0.624 0.292 0.292
Al6 0.708 0.376 0.708
Al7 0.708 0.708 0.376
Al8 0.708 0.708 0.708
Ni1 0.000 0.500 0.500
Ni2 0.500 0.000 0.500
Ni3 0.500 0.500 0.000
Ni4 0.500 0.500 0.500
O1 0.000 0.000 0.000
O2 0.000 0.000 0.500
O3 0.000 0.500 0.000
O4 0.500 0.000 0.000

# 6
Material: Li9Mn2Co5O16
Method: DFT, GGA+U
State: relaxed

Results
**SG**: P1
**Energy of formation from the pure elements**: -175.1 kJ per mole of atoms
**Relative energy among the computed polymorphs**: 0.049 eV per atom

Lattice parameters (Å, degrees): 5.775 5.848 9.741 90.61 98.50 119.54
Sites, in units of the cell vectors:
Li1 0.000 0.000 0.000
Li2 0.000 0.489 0.003
Li3 0.246 0.365 0.246
Li4 0.490 0.243 0.486
Li5 0.492 0.490 0.997
Li6 0.494 0.735 0.494
Li7 0.497 0.991 0.001
Li8 0.996 0.738 0.492
Li9 0.997 0.240 0.495
Mn1 0.246 0.614 0.746
Mn2 0.747 0.866 0.246
Co1 0.246 0.114 0.746
Co2 0.246 0.866 0.246
Co3 0.745 0.116 0.746
Co4 0.745 0.365 0.245
Co5 0.746 0.614 0.746
O1 0.103 0.565 0.348
O2 0.110 0.031 0.356
O3 0.127 0.793 0.862
O4 0.130 0.321 0.864
O5 0.360 0.906 0.631
O6 0.365 0.434 0.627
O7 0.383 0.702 0.137
O8 0.387 0.164 0.142
O9 0.600 0.789 0.862
O10 0.602 0.018 0.364
O11 0.611 0.311 0.863
O12 0.637 0.561 0.353
O13 0.854 0.169 0.137
O14 0.881 0.921 0.631
O15 0.890 0.438 0.629
O16 0.891 0.715 0.129

# 7
Material: MgFe4P12O36
Method: DFT, GGA+U
State: relaxed

Results
**SG**: P1
**Energy of formation from the pure elements**: -239.2 kJ per mole of atoms
**Relative energy among the computed polymorphs**: 0.028 eV per atom

Lattice parameters (Å, degrees): 8.693 8.722 8.867 91.87 90.97 90.62
Sites, in units of the cell vectors:
Mg1 0.000 0.000 0.000
Fe1 0.251 0.832 0.129
Fe2 0.449 0.354 0.796
Fe3 0.730 0.112 0.313
Fe4 0.942 0.616 0.589
P1 0.083 0.312 0.733
P2 0.098 0.176 0.282
P3 0.258 0.035 0.752
P4 0.280 0.776 0.516
P5 0.408 0.281 0.396
P6 0.413 0.507 0.139
P7 0.577 0.659 0.643
P8 0.605 0.787 0.129
P9 0.763 0.937 0.638
P10 0.797 0.190 0.882
P11 0.893 0.666 0.992
P12 0.909 0.450 0.258
O1 0.000 0.787 0.068
O2 0.056 0.343 0.220
O3 0.132 0.144 0.672
O4 0.158 0.082 0.147
O5 0.168 0.675 0.596
O6 0.174 0.943 0.866
O7 0.220 0.393 0.805
O8 0.233 0.215 0.399
O9 0.248 0.823 0.359
O10 0.274 0.598 0.100
O11 0.314 0.932 0.615
O12 0.387 0.433 0.300
O13 0.394 0.131 0.807
O14 0.443 0.330 0.558
O15 0.448 0.699 0.518
O16 0.464 0.388 0.024
O17 0.469 0.861 0.053
O18 0.501 0.166 0.311
O19 0.503 0.576 0.770
O20 0.556 0.621 0.188
O21 0.630 0.828 0.705
O22 0.675 0.286 0.816
O23 0.692 0.875 0.250
O24 0.696 0.053 0.539
O25 0.711 0.583 0.567
O26 0.723 0.736 0.996
O27 0.773 0.354 0.294
O28 0.806 0.135 0.042
O29 0.824 0.024 0.794
O30 0.886 0.518 0.091
O31 0.896 0.839 0.590
O32 0.924 0.621 0.831
O33 0.958 0.581 0.365
O34 0.966 0.105 0.360
O35 0.967 0.266 0.867
O36 0.993 0.390 0.612

# 8
Material: Sr2VMoO6
Method: DFT, GGA+U
State: relaxed

Results
**SG**: P2/m
**Energy of formation from the pure elements**: -263.1 kJ per mole of atoms
**Relative energy among the computed polymorphs**: 0.029 eV per atom

Lattice parameters (Å, degrees): 4.033 7.914 8.051 90.00 90.11 90.00
Sites, in units of the cell vectors:
Sr1 0.000 0.246 0.247
Sr2 0.000 0.246 0.753
Sr3 0.000 0.754 0.247
Sr4 0.000 0.754 0.753
V1 0.500 0.000 0.000
V2 0.500 0.500 0.500
Mo1 0.500 0.000 0.500
Mo2 0.500 0.500 0.000
O1 0.000 0.000 0.000
O2 0.000 0.000 0.500
O3 0.000 0.500 0.000
O4 0.000 0.500 0.500
O5 0.497 0.500 0.751
O6 0.500 0.000 0.249
O7 0.500 0.000 0.751
O8 0.500 0.236 0.000
O9 0.500 0.247 0.500
O10 0.500 0.753 0.500
O11 0.500 0.764 0.000
O12 0.503 0.500 0.249